Compound: BaReH9
Source: the Materials Project
Functional: PBE
Structure: optimized geometry

a = 3.6858 Å, b = 10.4648 Å, c = 5.0620 Å
α = 90.00°, β = 90.40°, γ = 90.00°
Space group P2_1/m (No. 11)
One atom of each set of equivalent atoms:
Ba  0.0000  0.0000  0.0000 (multiplicity 2)
Re  0.4502  0.2500  0.5328 (multiplicity 2)
H  0.0512  0.2500  0.3586 (multiplicity 2)
H  0.0536  0.0322  0.5029 (multiplicity 4)
H  0.0570  0.2500  0.7086 (multiplicity 2)
H  0.4939  0.7500  0.1363 (multiplicity 2)
H  0.4962  0.0973  0.6498 (multiplicity 4)
H  0.4976  0.6468  0.7360 (multiplicity 4)

Summary:
energy relative to the lowest polymorph listed for this composition = 0.231 eV/atom
corrected total energy (MP2020 scheme) = -4.2713 eV per atom
calculated volume = 8.875 Å³/atom
mass density = 5.66 Mg/m³
E = -4.12 eV per atom
energy of formation = -0.19 eV/atom